Entry 1:
This record from the Materials Project database describes an optimized crystal structure of Ba2AlCu3O8. The functional is PBE.

Computed properties:
Formation enthalpy at 0 K   -1.745 eV/atom
Space group   P4/mmm, No. 123
Electronic total energy   -78.40 eV/f.u.

extended XYZ file:
```
14
Lattice="3.810 0.000 0.000 0.000 3.810 0.000 0.000 0.000 11.576" Properties=species:S:1:pos:R:3 pbc="T T T"
Ba 0.000 0.000 1.985
Ba 0.000 0.000 9.591
Al 0.000 0.000 5.788
Cu 1.905 1.905 0.000
Cu 1.905 1.905 4.119
Cu 1.905 1.905 7.458
O 0.000 1.905 0.000
O 0.000 1.905 4.602
O 0.000 1.905 6.974
O 1.905 0.000 0.000
O 1.905 0.000 4.602
O 1.905 0.000 6.974
O 1.905 1.905 2.118
O 1.905 1.905 9.459
```

---

Entry 2:
This record from the Materials Project database describes an optimized crystal structure of Ba2AlCu3O7. The functional is PBE.

Computed properties:
Formation enthalpy at 0 K   -1.859 eV/atom
Space group   Pmmm, No. 47
Electronic total energy   -73.88 eV/f.u.

extended XYZ file:
```
13
Lattice="3.695 0.000 0.000 0.000 3.842 0.000 0.000 0.000 11.861" Properties=species:S:1:pos:R:3 pbc="T T T"
Ba 0.000 0.000 2.176
Ba 0.000 0.000 9.685
Al 0.000 0.000 5.930
Cu 1.847 1.921 0.000
Cu 1.847 1.921 4.347
Cu 1.847 1.921 7.514
O 0.000 1.921 4.711
O 0.000 1.921 7.150
O 1.847 0.000 0.000
O 1.847 0.000 4.702
O 1.847 0.000 7.159
O 1.847 1.921 1.885
O 1.847 1.921 9.976
```

---

Entry 3:
This record from the Materials Project database describes an optimized crystal structure of BaAlCu2O5. The functional is PBE.

Computed properties:
Formation enthalpy at 0 K   -1.797 eV/atom
Space group   P4mm, No. 99
Electronic total energy   -51.34 eV/f.u.

extended XYZ file:
```
9
Lattice="3.710 0.000 0.000 0.000 3.710 0.000 0.000 0.000 7.743" Properties=species:S:1:pos:R:3 pbc="T T T"
Ba 0.000 0.000 0.000
Al 0.000 0.000 3.803
Cu 1.855 1.855 2.066
Cu 1.855 1.855 5.490
O 0.000 1.855 2.534
O 0.000 1.855 4.938
O 1.855 0.000 2.534
O 1.855 0.000 4.938
O 1.855 1.855 7.597
```

---

Entry 4:
This record from the Materials Project database describes an optimized crystal structure of Ba6Sm3AlCu8O20. The functional is PBE.

Computed properties:
Formation enthalpy at 0 K   -2.293 eV/atom
Space group   P-1, No. 2
Electronic total energy   -234.57 eV/f.u.

extended XYZ file:
```
38
Lattice="5.547 0.000 0.000 2.495 8.308 0.000 2.681 2.770 12.074" Properties=species:S:1:pos:R:3 pbc="T T T"
Ba 1.340 1.385 3.777
Ba 3.971 4.131 8.351
Ba 3.970 4.130 3.723
Ba 6.753 6.948 8.351
Ba 6.752 6.948 3.723
Ba 9.383 9.694 8.297
Sm 1.341 1.387 0.009
Sm 4.021 4.154 0.000
Sm 9.382 9.691 12.065
Al 4.114 1.385 6.037
Cu 3.939 6.923 10.353
Cu 3.789 7.076 6.037
Cu 3.938 6.923 1.714
Cu 6.610 9.695 10.366
Cu 4.113 1.384 1.708
Cu 6.785 4.155 10.360
Cu 6.934 4.003 6.037
Cu 6.784 4.156 1.721
O 2.682 2.774 10.547
O 2.589 5.540 1.480
O 4.047 6.841 7.852
O 2.795 2.693 6.037
O 5.274 8.313 10.592
O 4.048 6.841 4.224
O 2.682 2.772 1.532
O 5.363 5.537 10.568
O 6.610 9.694 7.850
O 5.273 8.313 1.480
O 5.450 2.766 10.594
O 4.114 1.385 4.224
O 5.360 5.541 1.506
O 8.041 8.307 10.542
O 6.675 4.238 7.850
O 5.449 2.765 1.482
O 7.928 8.385 6.037
O 6.676 4.237 4.222
O 8.134 5.539 10.593
O 8.041 8.304 1.527
```

---

Entry 5:
This record from the Materials Project database describes an optimized crystal structure of BaAlCuSnO5. The functional is PBE.

Computed properties:
Formation enthalpy at 0 K   -1.974 eV/atom
Space group   P4mm, No. 99
Electronic total energy   -52.84 eV/f.u.

extended XYZ file:
```
9
Lattice="3.830 0.000 0.000 0.000 3.830 0.000 0.000 0.000 8.630" Properties=species:S:1:pos:R:3 pbc="T T T"
Ba 0.000 0.000 0.000
Al 0.000 0.000 3.385
Cu 1.915 1.915 2.051
Sn 1.915 1.915 5.559
O 0.000 1.915 2.152
O 0.000 1.915 4.668
O 1.915 0.000 2.152
O 1.915 0.000 4.668
O 1.915 1.915 7.602
```

---

Entry 6:
This record from the Materials Project database describes an optimized crystal structure of BaTiAlCuO5. The functional is PBE.

Computed properties:
Formation enthalpy at 0 K   -2.477 eV/atom
Space group   P4mm, No. 99
Electronic total energy   -61.26 eV/f.u.

extended XYZ file:
```
9
Lattice="3.835 0.000 0.000 0.000 3.835 0.000 0.000 0.000 7.744" Properties=species:S:1:pos:R:3 pbc="T T T"
Ba 0.000 0.000 0.000
Ti 1.917 1.917 5.259
Al 0.000 0.000 3.338
Cu 1.917 1.917 2.078
O 0.000 1.917 2.299
O 0.000 1.917 4.838
O 1.917 0.000 2.299
O 1.917 0.000 4.838
O 1.917 1.917 7.093
```

---

Entry 7:
This record from the Materials Project database describes an optimized crystal structure of Ba2AlTlCu2O7. The functional is PBE.

Computed properties:
Formation enthalpy at 0 K   -1.873 eV/atom
Space group   P4/mmm, No. 123
Electronic total energy   -72.32 eV/f.u.

extended XYZ file:
```
13
Lattice="3.753 0.000 0.000 0.000 3.753 0.000 0.000 0.000 12.930" Properties=species:S:1:pos:R:3 pbc="T T T"
Ba 0.000 0.000 2.749
Ba 0.000 0.000 10.181
Al 0.000 0.000 6.465
Tl 1.876 1.876 0.000
Cu 1.876 1.876 4.985
Cu 1.876 1.876 7.945
O 0.000 0.000 0.000
O 0.000 1.876 5.219
O 0.000 1.876 7.710
O 1.876 0.000 5.219
O 1.876 0.000 7.710
O 1.876 1.876 2.122
O 1.876 1.876 10.808
```

---

Entry 8:
This record from the Materials Project database describes an optimized crystal structure of BaAlCu3Se4. The functional is PBE.

Computed properties:
Formation enthalpy at 0 K   -0.828 eV/atom
Space group   P-43m, No. 215
Electronic total energy   -37.51 eV/f.u.

extended XYZ file:
```
9
Lattice="6.202 0.000 0.000 0.000 6.202 0.000 0.000 0.000 6.202" Properties=species:S:1:pos:R:3 pbc="T T T"
Ba 0.000 0.000 0.000
Al 3.101 3.101 3.101
Cu 0.000 3.101 3.101
Cu 3.101 0.000 3.101
Cu 3.101 3.101 0.000
Se 1.743 1.743 4.458
Se 1.743 4.458 1.743
Se 4.458 1.743 1.743
Se 4.458 4.458 4.458
```

---

Entry 9:
This record from the Materials Project database describes an optimized crystal structure of Ba5Er2ZrAl2O13. The functional is PBE.

Computed properties:
Formation enthalpy at 0 K   -3.494 eV/atom
Space group   P6_3/mmc, No. 194
Electronic total energy   -170.53 eV/f.u.

extended XYZ file:
```
46
Lattice="6.017 0.000 0.000 -3.009 5.211 0.000 0.000 0.000 25.171" Properties=species:S:1:pos:R:3 pbc="T T T"
Ba 0.000 0.000 3.455
Ba 0.000 0.000 9.131
Ba 0.000 0.000 16.040
Ba 0.000 0.000 21.716
Ba 0.000 3.474 1.043
Ba 0.000 3.474 11.543
Ba 0.000 3.474 18.878
Ba 3.009 1.737 6.293
Ba 3.009 1.737 13.628
Ba 3.009 1.737 24.128
Er 0.000 3.474 15.201
Er 0.000 3.474 22.555
Er 3.009 1.737 2.616
Er 3.009 1.737 9.970
Zr 0.000 0.000 0.000
Zr 0.000 0.000 12.585
Al 0.000 3.474 4.554
Al 0.000 3.474 8.031
Al 3.009 1.737 17.139
Al 3.009 1.737 20.617
O -1.458 2.633 3.978
O -1.458 2.633 8.607
O 0.000 1.701 13.853
O 0.000 1.701 23.903
O -1.536 4.361 13.853
O -1.536 4.361 23.903
O 1.473 0.850 1.268
O 1.473 0.850 11.317
O 0.000 3.474 6.293
O 1.458 2.633 3.978
O 1.458 2.633 8.607
O 0.000 5.157 3.978
O 0.000 5.157 8.607
O 3.009 0.054 16.564
O 3.009 0.054 21.192
O 1.551 2.579 16.564
O 1.551 2.579 21.192
O 3.009 1.737 18.878
O 1.536 4.361 13.853
O 1.536 4.361 23.903
O 4.544 0.850 1.268
O 4.544 0.850 11.317
O 3.009 3.510 1.268
O 3.009 3.510 11.317
O 4.466 2.579 16.564
O 4.466 2.579 21.192
```

---

Entry 10:
This record from the Materials Project database describes an optimized crystal structure of Ba3Al2F12. The functional is PBE.

Computed properties:
Formation enthalpy at 0 K   -4.072 eV/atom
Space group   Pnnm, No. 58
Electronic total energy   -99.91 eV/f.u.

extended XYZ file:
```
68
Lattice="10.045 0.000 0.000 0.000 10.352 0.000 0.000 0.000 9.675" Properties=species:S:1:pos:R:3 pbc="T T T"
Ba 0.000 0.000 2.398
Ba 0.000 0.000 7.277
Ba 1.478 3.678 0.000
Ba 2.136 2.778 4.838
Ba 2.887 7.954 0.000
Ba 3.545 8.855 4.838
Ba 5.023 5.176 2.439
Ba 5.023 5.176 7.236
Ba 6.500 1.498 4.838
Ba 7.158 2.398 0.000
Ba 7.910 7.574 4.838
Ba 8.568 6.674 0.000
Al 1.426 6.235 3.044
Al 1.426 6.235 6.631
Al 3.596 1.059 1.794
Al 3.596 1.059 7.882
Al 6.449 9.294 1.794
Al 6.449 9.294 7.882
Al 8.619 4.118 3.044
Al 8.619 4.118 6.631
F 0.000 5.176 3.531
F 0.000 5.176 6.145
F 0.345 8.869 0.000
F 0.501 7.736 3.378
F 0.501 7.736 6.298
F 0.938 6.231 1.318
F 0.938 6.231 8.357
F 1.458 0.235 4.838
F 1.980 6.185 4.838
F 2.057 1.961 2.140
F 2.057 1.961 7.535
F 2.347 4.668 2.796
F 2.347 4.668 6.879
F 2.676 9.844 2.042
F 2.676 9.844 7.634
F 2.966 7.137 2.698
F 2.966 7.137 6.978
F 3.043 1.009 0.000
F 3.565 5.411 0.000
F 4.085 1.055 3.519
F 4.085 1.055 6.156
F 4.522 2.560 1.460
F 4.522 2.560 8.215
F 4.677 3.692 4.838
F 5.023 0.000 1.307
F 5.023 0.000 8.368
F 5.368 6.660 4.838
F 5.523 7.793 1.460
F 5.523 7.793 8.215
F 5.961 9.297 3.519
F 5.961 9.297 6.156
F 6.480 4.941 0.000
F 7.002 9.343 0.000
F 7.080 3.216 2.698
F 7.080 3.216 6.978
F 7.369 0.508 2.042
F 7.369 0.508 7.634
F 7.698 5.684 2.796
F 7.698 5.684 6.879
F 7.988 8.392 2.140
F 7.988 8.392 7.535
F 8.066 4.167 4.838
F 8.588 10.117 4.838
F 9.107 4.121 1.318
F 9.107 4.121 8.357
F 9.545 2.617 3.378
F 9.545 2.617 6.298
F 9.700 1.484 0.000
```

---

Entry 11:
This record from the Materials Project database describes an optimized crystal structure of Ba5Al3F19. The functional is PBE.

Computed properties:
Formation enthalpy at 0 K   -4.071 eV/atom
Space group   I4/m, No. 87
Electronic total energy   -158.34 eV/f.u.

extended XYZ file:
```
54
Lattice="-7.416 7.416 3.784 7.416 -7.416 3.784 7.416 7.416 -3.784" Properties=species:S:1:pos:R:3 pbc="T T T"
Ba 3.185 0.846 0.000
Ba 6.570 -4.232 3.784
Ba 7.416 0.000 1.892
Ba 6.163 3.842 0.000
Ba 3.574 -1.253 3.784
Ba 3.842 8.669 0.000
Ba 1.253 3.574 3.784
Ba 0.000 7.416 1.892
Ba 0.846 11.648 0.000
Ba 4.232 6.570 3.784
Al 9.767 2.607 0.000
Al 0.000 0.000 1.911
Al 2.607 5.065 0.000
Al 4.809 2.351 3.784
Al 0.000 0.000 5.657
Al -2.351 4.809 3.784
F 0.000 0.000 0.000
F 4.470 -1.401 1.268
F 5.692 1.177 0.000
F 9.073 3.747 -1.258
F 8.157 1.747 0.000
F 6.682 5.769 -1.962
F 8.817 -2.946 2.516
F 1.647 -0.734 1.822
F 3.747 5.760 -1.258
F 3.501 3.492 0.000
F 3.925 -3.915 3.784
F 10.362 1.401 1.268
F 5.769 8.151 -1.962
F 0.734 1.647 1.822
F 6.239 -1.724 3.784
F 9.073 3.747 1.258
F 3.669 1.656 2.526
F 1.747 6.676 0.000
F 1.401 4.470 1.268
F 0.000 0.000 3.784
F 6.015 2.946 2.516
F 5.669 0.740 3.784
F 3.747 5.760 1.258
F -1.656 3.669 2.526
F 1.177 9.141 0.000
F 6.682 5.769 1.962
F 1.647 -0.734 5.746
F -2.946 6.015 2.516
F 3.492 11.331 0.000
F 3.915 3.925 3.784
F 3.669 1.656 5.042
F 5.769 8.151 1.962
F -1.401 10.362 1.268
F 0.734 1.647 5.746
F -0.740 5.669 3.784
F -1.656 3.669 5.042
F 1.724 6.239 3.784
F 2.946 8.817 2.516
```

---

Entry 12:
This record from the Materials Project database describes an optimized crystal structure of Ba2Na2SrAl4F20. The functional is PBE.

Computed properties:
Formation enthalpy at 0 K   -3.889 eV/atom
Space group   P2_1/c, No. 14
Electronic total energy   -164.99 eV/f.u.

extended XYZ file:
```
58
Lattice="5.380 0.000 0.000 0.000 20.401 0.000 -5.324 0.000 7.176" Properties=species:S:1:pos:R:3 pbc="T T T"
Ba 0.091 4.537 0.102
Ba -2.571 5.664 3.690
Ba 2.627 14.737 3.486
Ba -0.035 15.864 7.074
Na -2.625 1.905 5.402
Na 0.037 8.295 1.814
Na 0.018 12.106 5.362
Na 2.680 18.495 1.774
Sr 0.000 0.000 0.000
Sr -2.662 10.200 3.588
Al 0.049 12.229 1.967
Al -2.613 18.373 5.555
Al -2.591 12.973 6.858
Al 0.071 17.628 3.270
Al -0.016 2.772 3.906
Al 2.646 7.428 0.318
Al 2.668 2.028 1.621
Al 0.006 8.172 5.209
F -3.941 13.790 5.932
F -1.279 16.811 2.344
F -1.485 1.986 3.026
F -4.147 8.214 6.614
F -1.312 12.333 3.186
F -3.974 18.268 6.774
F 0.137 14.027 1.892
F -2.525 16.574 5.480
F -0.003 10.447 2.115
F -2.665 20.155 5.703
F 1.439 2.059 0.251
F -1.223 8.142 3.839
F -2.602 11.560 5.727
F 0.060 19.041 2.139
F -0.105 4.184 2.773
F -2.767 6.017 6.361
F 1.479 12.114 0.754
F -1.183 18.487 4.342
F -1.220 3.632 4.996
F 1.442 6.569 1.408
F -1.386 13.832 5.768
F 1.276 16.769 2.180
F 1.239 1.914 2.834
F -1.423 8.286 6.422
F 2.822 14.384 0.815
F 0.160 16.217 4.403
F -0.004 1.360 5.037
F 2.658 8.841 1.449
F 1.279 12.259 3.337
F -1.383 18.342 6.925
F 2.721 0.246 1.473
F 0.059 9.954 5.061
F 2.581 3.827 1.696
F -0.081 6.373 5.284
F 4.030 2.133 0.402
F 1.368 8.068 3.990
F 4.203 12.186 0.562
F 1.541 18.415 4.150
F 1.334 3.590 4.832
F 3.996 6.610 1.244
```

---

- Which of these has the lowest electronic total energy?
  Ba6Sm3AlCu8O20